Record 1
DFT (GGA+U) results for an optimized crystal structure of YMnCrO5.

a b c (Å): 7.250 8.637 5.817
angles (deg): 90.00 90.00 90.00
Space group Pbam (No. 55)
Inequivalent atoms, fractional coordinates:
Y  0.138  0.173  0.000 [4 per cell]
Mn  0.094  0.850  0.500 [4 per cell]
Cr  0.000  0.500  0.252 [4 per cell]
O  0.000  0.000  0.276 [4 per cell]
O  0.108  0.711  0.241 [8 per cell]
O  0.147  0.422  0.500 [4 per cell]
O  0.168  0.445  0.000 [4 per cell]

DFT formation energy, eV/atom: -2.6727
Energy, eV per cell: -257.20
Total magnetic moment, μB per formula unit: 6.00

=====

Record 2
DFT (GGA+U) results for an optimized crystal structure of Cr2Mo3O12.

a b c (Å): 15.986 9.371 15.871
angles (deg): 90.00 109.07 90.00
Space group P2_1/c (No. 14)
Inequivalent atoms, fractional coordinates:
Cr  0.049  0.043  0.175 [4 per cell]
Cr  0.185  0.025  0.566 [4 per cell]
Cr  0.318  0.536  0.436 [4 per cell]
Cr  0.417  0.519  0.810 [4 per cell]
Mo  0.019  0.745  0.018 [4 per cell]
Mo  0.135  0.121  0.775 [4 per cell]
Mo  0.213  0.628  0.861 [4 per cell]
Mo  0.252  0.116  0.111 [4 per cell]
Mo  0.383  0.620  0.232 [4 per cell]
Mo  0.489  0.249  0.494 [4 per cell]
O  0.004  0.612  0.587 [4 per cell]
O  0.022  0.688  0.413 [4 per cell]
O  0.051  0.503  0.279 [4 per cell]
O  0.070  0.121  0.500 [4 per cell]
O  0.096  0.198  0.265 [4 per cell]
O  0.121  0.602  0.761 [4 per cell]
O  0.122  0.657  0.073 [4 per cell]
O  0.146  0.076  0.122 [4 per cell]
O  0.170  0.082  0.682 [4 per cell]
O  0.196  0.534  0.951 [4 per cell]
O  0.226  0.684  0.382 [4 per cell]
O  0.229  0.112  0.875 [4 per cell]
O  0.249  0.209  0.564 [4 per cell]
O  0.276  0.516  0.541 [4 per cell]
O  0.299  0.570  0.131 [4 per cell]
O  0.312  0.562  0.846 [4 per cell]
O  0.336  0.112  0.218 [4 per cell]
O  0.357  0.562  0.328 [4 per cell]
O  0.391  0.689  0.730 [4 per cell]
O  0.405  0.682  0.503 [4 per cell]
O  0.411  0.112  0.989 [4 per cell]
O  0.451  0.142  0.396 [4 per cell]
O  0.485  0.535  0.235 [4 per cell]
O  0.494  0.648  0.906 [4 per cell]

DFT formation energy, eV/atom: -2.0905
Energy, eV per cell: -999.28
Total magnetic moment, μB per formula unit: 6.01
Distance to the lowest polymorph of the same formula, meV/atom: 3.1

=====

Record 3
DFT (GGA+U) results for an optimized crystal structure of CrMoO4.

a b c (Å): 6.476 6.617 3.131
angles (deg): 90.00 90.00 90.00
Space group Cmmm (No. 65)
Inequivalent atoms, fractional coordinates:
Cr  0.000  0.000  0.000 [2 per cell]
Mo  0.000  0.500  0.500 [2 per cell]
O  0.000  0.304  0.000 [4 per cell]
O  0.200  0.000  0.500 [4 per cell]

DFT formation energy, eV/atom: -2.1669
Energy, eV per cell: -90.69

=====

Record 4
DFT (GGA+U) results for an optimized crystal structure of CrMoO3.

a b c (Å): 5.1376 5.1376 7.9173
angles (deg): 90.00 90.00 120.00
Space group R3 (No. 146, hexagonal axes)
Inequivalent atoms, fractional coordinates:
Cr  0.0000  0.0000  0.0000 [3 per cell]
Mo  0.0000  0.0000  0.3916 [3 per cell]
O  0.0519  0.6978  0.8688 [9 per cell]

DFT formation energy, eV/atom: -1.6485
Energy, eV per cell: -108.97
Total magnetic moment, μB per formula unit: 6.00

=====

Record 5
DFT (GGA+U) results for an optimized crystal structure of Cr2Mo3O12.

a b c (Å): 13.071 9.403 9.492
angles (deg): 90.00 90.00 90.00
Space group Pbcn (No. 60)
Inequivalent atoms, fractional coordinates:
Cr  0.118  0.250  0.035 [8 per cell]
Mo  0.000  0.027  0.750 [4 per cell]
Mo  0.145  0.395  0.384 [8 per cell]
O  0.024  0.320  0.430 [8 per cell]
O  0.068  0.136  0.872 [8 per cell]
O  0.092  0.083  0.161 [8 per cell]
O  0.142  0.415  0.907 [8 per cell]
O  0.169  0.360  0.201 [8 per cell]
O  0.240  0.319  0.496 [8 per cell]

DFT formation energy, eV/atom: -2.0936
Energy, eV per cell: -499.85
Distance to the lowest polymorph of the same formula, meV/atom: 0.0

=====

Record 6
DFT (GGA+U) results for an optimized crystal structure of Rb2TiCr2Mo6O24.

a b c (Å): 8.664 8.670 8.683
angles (deg): 99.72 99.62 99.74
Space group P-1 (No. 2)
Inequivalent atoms, fractional coordinates:
Rb  0.186  0.185  0.188 [2 per cell]
Ti  0.500  0.500  0.000 [1 per cell]
Cr  0.000  0.500  0.500 [1 per cell]
Cr  0.500  0.000  0.500 [1 per cell]
Mo  0.219  0.681  0.226 [2 per cell]
Mo  0.225  0.219  0.680 [2 per cell]
Mo  0.319  0.774  0.779 [2 per cell]
O  0.056  0.690  0.084 [2 per cell]
O  0.082  0.056  0.690 [2 per cell]
O  0.115  0.676  0.685 [2 per cell]
O  0.133  0.356  0.580 [2 per cell]
O  0.158  0.563  0.366 [2 per cell]
O  0.311  0.918  0.942 [2 per cell]
O  0.316  0.884  0.323 [2 per cell]
O  0.327  0.319  0.885 [2 per cell]
O  0.356  0.578  0.128 [2 per cell]
O  0.366  0.158  0.562 [2 per cell]
O  0.420  0.866  0.643 [2 per cell]
O  0.439  0.632  0.845 [2 per cell]

DFT formation energy, eV/atom: -2.2132
Energy, eV per cell: -250.75
Total magnetic moment, μB per formula unit: 6.00

=====

Record 7
DFT (GGA+U) results for an optimized crystal structure of Sr2CrMoO6.

a b c (Å): 7.979 7.979 7.979
angles (deg): 90.00 90.00 90.00
Space group Fm-3m (No. 225)
Inequivalent atoms, fractional coordinates:
Sr  0.250  0.250  0.250 [8 per cell]
Cr  0.000  0.000  0.000 [4 per cell]
Mo  0.000  0.000  0.500 [4 per cell]
O  0.000  0.000  0.250 [24 per cell]

DFT formation energy, eV/atom: -2.6435
Energy, eV per cell: -282.71
Total magnetic moment, μB per formula unit: 4.00

=====

Record 8
DFT (GGA+U) results for an optimized crystal structure of TlCrMo2O8.

a b c (Å): 15.097 5.736 9.049
angles (deg): 90.00 90.00 90.00
Space group Pnma (No. 62)
Inequivalent atoms, fractional coordinates:
Tl  0.117  0.250  0.059 [4 per cell]
Cr  0.121  0.750  0.678 [4 per cell]
Mo  0.029  0.750  0.295 [4 per cell]
Mo  0.220  0.250  0.487 [4 per cell]
O  0.036  0.504  0.752 [8 per cell]
O  0.059  0.750  0.487 [4 per cell]
O  0.124  0.750  0.181 [4 per cell]
O  0.134  0.250  0.359 [4 per cell]
O  0.178  0.750  0.879 [4 per cell]
O  0.207  0.512  0.599 [8 per cell]

DFT formation energy, eV/atom: -1.9723
Energy, eV per cell: -332.24
Total magnetic moment, μB per formula unit: 3.03

=====

Record 9
DFT (GGA+U) results for an optimized crystal structure of CrN3O8.

a b c (Å): 6.661 6.661 8.022
angles (deg): 90.00 90.00 90.00
Space group I-42m (No. 121)
Inequivalent atoms, fractional coordinates:
Cr  0.000  0.000  0.000 [2 per cell]
N  0.000  0.000  0.500 [2 per cell]
N  0.000  0.500  0.250 [4 per cell]
O  0.168  0.168  0.155 [8 per cell]
O  0.208  0.208  0.996 [8 per cell]

DFT formation energy, eV/atom: 1.0218
Energy, eV per cell: -117.39
Total magnetic moment, μB per formula unit: 7.00
Distance to the lowest polymorph of the same formula, meV/atom: 0.0